# ErCo3, optimized geometry, DFT GGA-PBE
# Formation energy ... -0.206 eV per atom
# Crystal system ... trigonal
# Total DFT energy (no corrections) ... -80.15 eV for the cell shown
data_ErCo3
_chemical_formula_sum 'Er3 Co9'
_cell_length_a 8.5877
_cell_length_b 8.5877
_cell_length_c 8.5877
_cell_angle_alpha 33.47
_cell_angle_beta 33.47
_cell_angle_gamma 33.47
_space_group_name_H-M_alt 'P 1'
_space_group_IT_number 1
_space_group_name_Hall 'P 1'
loop_
_atom_site_label
_atom_site_type_symbol
_atom_site_fract_x
_atom_site_fract_y
_atom_site_fract_z
Er1 Er 0.0000 0.0000 0.0000
Er2 Er 0.1395 0.1395 0.1395
Er3 Er 0.8605 0.8605 0.8605
Co1 Co 0.0789 0.5827 0.5827
Co2 Co 0.3350 0.3350 0.3350
Co3 Co 0.4173 0.4173 0.9211
Co4 Co 0.4173 0.9211 0.4173
Co5 Co 0.5000 0.5000 0.5000
Co6 Co 0.5827 0.0789 0.5827
Co7 Co 0.5827 0.5827 0.0789
Co8 Co 0.6650 0.6650 0.6650
Co9 Co 0.9211 0.4173 0.4173